This record from Materials Project describes a relaxed Li7NiOF7 crystal. The functional is PBE with a Hubbard U.

Structure (POSCAR):
```
Li7NiOF7
1.0
0.000 -2.074 -2.073
-4.119 10.376 -10.372
6.172 2.073 0.000
Ni F Li O
2 14 14 2
Direct
0.003 0.009 0.005
0.503 0.509 0.005
0.341 0.528 0.679
0.157 0.964 0.314
0.969 0.406 0.937
0.782 0.844 0.564
0.469 0.906 0.937
0.094 0.784 0.188
0.841 0.028 0.679
0.225 0.158 0.448
0.657 0.465 0.314
0.282 0.344 0.564
0.594 0.284 0.189
0.725 0.658 0.448
0.903 0.223 0.809
0.403 0.722 0.808
0.560 0.681 0.121
0.307 0.936 0.615
0.249 0.749 0.498
0.749 0.249 0.498
0.128 0.369 0.256
0.807 0.436 0.615
0.185 0.570 0.370
0.437 0.307 0.874
0.685 0.070 0.370
0.380 0.130 0.761
0.880 0.630 0.761
0.937 0.807 0.874
0.060 0.181 0.121
0.628 0.869 0.256
0.031 0.592 0.061
0.531 0.092 0.061
```

Computed properties:
Formation enthalpy at 0 K: -45.74 eV/f.u.
MP2020-corrected energy: -0.3823 Ry per atom
Calculated total energy: -4.80 eV per atom
Density: 3.0 g/cm3